! Sr4MgMn2S2O6, optimized geometry, DFT PBE with a Hubbard U; values from VASP
&SYSTEM
  ibrav = 0, nat = 15, ntyp = 5
/
ATOMIC_SPECIES
Sr 87.62 Sr.upf
Mg 24.30 Mg.upf
Mn 54.94 Mn.upf
S 32.06 S.upf
O 16.00 O.upf
ATOMIC_POSITIONS crystal
Sr 0.000 0.000 0.000
Sr 0.000 0.000 0.227
Sr 0.500 0.500 0.395
Sr 0.500 0.500 0.622
Mg 0.000 0.500 0.811
Mn 0.000 0.000 0.504
Mn 0.500 0.500 0.117
S 0.000 0.000 0.716
S 0.500 0.500 0.906
O 0.000 0.000 0.379
O 0.000 0.500 0.100
O 0.000 0.500 0.521
O 0.500 0.000 0.102
O 0.500 0.000 0.520
O 0.500 0.500 0.242
CELL_PARAMETERS angstrom
3.920 0.000 0.000
0.000 3.922 0.000
0.000 0.000 16.156
! Spin magnetization: 8.0 μB per cell
! Raw total energy: -6.232 eV per atom
! Total energy after the MP2020 corrections: -6.80 eV per atom
! Excess energy over the best structure of this formula in the dataset: 0.0 meV per atom
! Energy relative to the elements: -2.486 eV per atom

---

! Y2MgMn2S2O5, optimized geometry, DFT PBE with a Hubbard U; values from VASP
&SYSTEM
  ibrav = 0, nat = 12, ntyp = 5
/
ATOMIC_SPECIES
Y 88.91 Y.upf
Mg 24.30 Mg.upf
Mn 54.94 Mn.upf
S 32.06 S.upf
O 16.00 O.upf
ATOMIC_POSITIONS crystal
Y 0.133 0.133 0.000
Y 0.867 0.867 0.000
Mg 0.250 0.750 0.500
Mn 0.435 0.435 0.000
Mn 0.565 0.565 0.000
S 0.307 0.307 0.000
S 0.693 0.693 0.000
O 0.093 0.593 0.500
O 0.407 0.907 0.500
O 0.500 0.500 0.000
O 0.591 0.091 0.500
O 0.909 0.409 0.500
CELL_PARAMETERS angstrom
-1.916 1.916 14.039
1.916 -1.916 14.039
1.916 1.916 -14.039
! Spin magnetization: 8.0 μB per cell
! Raw total energy: -7.248 eV per atom
! Total energy after the MP2020 corrections: -7.90 eV per atom
! Excess energy over the best structure of this formula in the dataset: 83.4 meV per atom
! Energy relative to the elements: -2.406 eV per atom

---

! Y2MgMn2S2O5, optimized geometry, DFT PBE with a Hubbard U; values from VASP
&SYSTEM
  ibrav = 0, nat = 12, ntyp = 5
/
ATOMIC_SPECIES
Y 88.91 Y.upf
Mg 24.30 Mg.upf
Mn 54.94 Mn.upf
S 32.06 S.upf
O 16.00 O.upf
ATOMIC_POSITIONS crystal
Y 0.163 0.163 0.000
Y 0.837 0.837 0.000
Mg 0.500 0.000 0.500
Mn 0.408 0.408 0.000
Mn 0.592 0.592 0.000
S 0.295 0.295 0.000
S 0.705 0.705 0.000
O 0.105 0.605 0.500
O 0.408 0.908 0.500
O 0.500 0.500 0.000
O 0.592 0.092 0.500
O 0.895 0.395 0.500
CELL_PARAMETERS angstrom
-1.982 1.986 11.258
1.982 -1.986 11.258
1.982 1.986 -11.258
! Spin magnetization: 8.0 μB per cell
! Raw total energy: -7.331 eV per atom
! Total energy after the MP2020 corrections: -7.98 eV per atom
! Excess energy over the best structure of this formula in the dataset: 0.0 meV per atom
! Energy relative to the elements: -2.490 eV per atom

---

! Y2MgMn2S2O5, optimized geometry, DFT PBE with a Hubbard U; values from VASP
&SYSTEM
  ibrav = 0, nat = 12, ntyp = 5
/
ATOMIC_SPECIES
Y 88.91 Y.upf
Mg 24.30 Mg.upf
Mn 54.94 Mn.upf
S 32.06 S.upf
O 16.00 O.upf
ATOMIC_POSITIONS crystal
Y 0.000 0.000 0.000
Y 0.365 0.364 0.659
Mg 0.554 0.553 0.165
Mn 0.063 0.060 0.265
Mn 0.799 0.799 0.503
S 0.464 0.464 0.916
S 0.897 0.896 0.737
O 0.046 0.534 0.142
O 0.314 0.816 0.534
O 0.533 0.046 0.142
O 0.746 0.748 0.341
O 0.816 0.314 0.534
CELL_PARAMETERS angstrom
3.869 0.000 0.000
-0.005 3.881 0.000
-1.573 -1.567 11.376
! Spin magnetization: 8.0 μB per cell
! Raw total energy: -7.242 eV per atom
! Total energy after the MP2020 corrections: -7.89 eV per atom
! Excess energy over the best structure of this formula in the dataset: 88.9 meV per atom
! Energy relative to the elements: -2.401 eV per atom

---

! Mg2MnSbO6, optimized geometry, DFT PBE with a Hubbard U; values from VASP
&SYSTEM
  ibrav = 0, nat = 40, ntyp = 4
/
ATOMIC_SPECIES
Mg 24.30 Mg.upf
Mn 54.94 Mn.upf
Sb 121.76 Sb.upf
O 16.00 O.upf
ATOMIC_POSITIONS crystal
Mg 0.570 0.750 0.264
Mg 0.570 0.750 0.764
Mg 0.430 0.250 0.236
Mg 0.430 0.250 0.736
Mg 0.027 0.750 0.016
Mg 0.027 0.750 0.516
Mg 0.973 0.250 0.484
Mg 0.973 0.250 0.984
Mn 0.000 0.500 0.750
Mn 0.000 0.000 0.750
Mn 0.000 0.500 0.250
Mn 0.000 0.000 0.250
Sb 0.500 0.500 0.000
Sb 0.500 0.500 0.500
Sb 0.500 0.000 0.000
Sb 0.500 0.000 0.500
O 0.582 0.250 0.432
O 0.582 0.250 0.932
O 0.418 0.750 0.068
O 0.418 0.750 0.568
O 0.925 0.750 0.195
O 0.925 0.750 0.695
O 0.075 0.250 0.305
O 0.075 0.250 0.805
O 0.679 0.435 0.165
O 0.679 0.435 0.665
O 0.321 0.935 0.335
O 0.321 0.935 0.835
O 0.679 0.065 0.165
O 0.679 0.065 0.665
O 0.321 0.565 0.335
O 0.321 0.565 0.835
O 0.199 0.071 0.079
O 0.199 0.071 0.579
O 0.801 0.571 0.421
O 0.801 0.571 0.921
O 0.199 0.429 0.079
O 0.199 0.429 0.579
O 0.801 0.929 0.421
O 0.801 0.929 0.921
CELL_PARAMETERS angstrom
3.391 -3.003 -2.954
5.856 2.829 3.847
-1.369 -7.386 7.515
! Spin magnetization: 0.0 μB per cell
! Raw total energy: -6.400 eV per atom
! Total energy after the MP2020 corrections: -6.98 eV per atom
! Energy relative to the elements: -2.361 eV per atom

---

! MgMnSb4O12, optimized geometry, DFT PBE with a Hubbard U; values from VASP
&SYSTEM
  ibrav = 0, nat = 18, ntyp = 4
/
ATOMIC_SPECIES
Mg 24.30 Mg.upf
Mn 54.94 Mn.upf
Sb 121.76 Sb.upf
O 16.00 O.upf
ATOMIC_POSITIONS crystal
Mg 0.000 0.000 0.000
Mn 0.490 0.533 0.982
Sb 0.000 0.574 0.236
Sb 0.494 0.064 0.707
Sb 0.495 0.080 0.234
Sb 0.997 0.564 0.705
O 0.100 0.606 0.973
O 0.165 0.908 0.253
O 0.178 0.248 0.669
O 0.320 0.743 0.678
O 0.333 0.413 0.257
O 0.377 0.099 0.972
O 0.625 0.066 0.468
O 0.697 0.368 0.781
O 0.703 0.785 0.146
O 0.800 0.873 0.786
O 0.802 0.275 0.144
O 0.865 0.571 0.468
CELL_PARAMETERS angstrom
5.287 0.000 0.000
-0.004 5.446 0.000
-0.023 -0.375 7.677
! Spin magnetization: 5.0 μB per cell
! Raw total energy: -6.241 eV per atom
! Total energy after the MP2020 corrections: -6.79 eV per atom
! Excess energy over the best structure of this formula in the dataset: 0.0 meV per atom
! Energy relative to the elements: -1.977 eV per atom

---

! MgMn2Sb4O12, optimized geometry, DFT PBE with a Hubbard U; values from VASP
&SYSTEM
  ibrav = 0, nat = 19, ntyp = 4
/
ATOMIC_SPECIES
Mg 24.30 Mg.upf
Mn 54.94 Mn.upf
Sb 121.76 Sb.upf
O 16.00 O.upf
ATOMIC_POSITIONS crystal
Mg 0.000 0.000 0.000
Mn 0.459 0.055 0.471
Mn 0.767 0.419 0.146
Sb 0.177 0.661 0.324
Sb 0.264 0.580 0.814
Sb 0.514 0.994 0.983
Sb 0.859 0.316 0.632
O 0.023 0.647 0.117
O 0.185 0.324 0.452
O 0.202 0.998 0.179
O 0.319 0.734 0.515
O 0.345 0.951 0.799
O 0.491 0.655 0.121
O 0.541 0.329 0.827
O 0.662 0.068 0.164
O 0.725 0.256 0.441
O 0.832 0.985 0.797
O 0.874 0.647 0.520
O 0.992 0.353 0.856
CELL_PARAMETERS angstrom
6.166 0.000 0.000
0.605 6.152 0.000
2.081 1.734 6.782
! Spin magnetization: 10.0 μB per cell
! Raw total energy: -6.424 eV per atom
! Total energy after the MP2020 corrections: -7.03 eV per atom
! Excess energy over the best structure of this formula in the dataset: 8.3 meV per atom
! Energy relative to the elements: -1.990 eV per atom

---

! MgMn3SbO8, optimized geometry, DFT PBE with a Hubbard U; values from VASP
&SYSTEM
  ibrav = 0, nat = 13, ntyp = 4
/
ATOMIC_SPECIES
Mg 24.30 Mg.upf
Mn 54.94 Mn.upf
Sb 121.76 Sb.upf
O 16.00 O.upf
ATOMIC_POSITIONS crystal
Mg 0.000 0.000 0.000
Mn 0.000 0.000 0.500
Mn 0.000 0.500 0.500
Mn 0.500 0.000 0.000
Sb 0.500 0.500 0.000
O 0.051 0.257 0.758
O 0.068 0.814 0.759
O 0.482 0.242 0.210
O 0.484 0.753 0.204
O 0.516 0.247 0.796
O 0.518 0.758 0.790
O 0.932 0.186 0.241
O 0.949 0.743 0.242
CELL_PARAMETERS angstrom
6.039 0.000 0.000
-2.819 5.352 0.000
-2.812 -1.702 5.107
! Spin magnetization: 12.0 μB per cell
! Raw total energy: -6.855 eV per atom
! Total energy after the MP2020 corrections: -7.66 eV per atom
! Energy relative to the elements: -2.062 eV per atom

---

! MgMnSbO4, optimized geometry, DFT PBE with a Hubbard U; values from VASP
&SYSTEM
  ibrav = 0, nat = 7, ntyp = 4
/
ATOMIC_SPECIES
Mg 24.30 Mg.upf
Mn 54.94 Mn.upf
Sb 121.76 Sb.upf
O 16.00 O.upf
ATOMIC_POSITIONS crystal
Mg 0.000 0.000 0.000
Mn 0.500 0.000 0.500
Sb 0.500 0.500 0.000
O 0.261 0.500 0.227
O 0.268 0.000 0.788
O 0.732 0.000 0.212
O 0.739 0.500 0.773
CELL_PARAMETERS angstrom
5.441 0.000 0.000
0.000 3.256 0.000
-2.066 0.000 5.252
! Spin magnetization: 4.9 μB per cell
! Raw total energy: -6.355 eV per atom
! Total energy after the MP2020 corrections: -6.99 eV per atom
! Excess energy over the best structure of this formula in the dataset: 47.6 meV per atom
! Energy relative to the elements: -2.031 eV per atom